No. 1
Crystalline CaMoF5 at its relaxed geometry. Source: the Materials Project database, functional GGA+U.

Structure (POSCAR):
```
CaMoF5
1.0
5.7240 0.0000 0.0000
0.0000 10.7477 0.0000
-2.7162 0.0000 7.5190
Ca Mo F
4 4 20
direct
0.0257 0.0161 0.2527
0.0257 0.4839 0.7527
0.9743 0.5161 0.2473
0.9743 0.9839 0.7473
0.3906 0.2460 0.5994
0.3906 0.2540 0.0994
0.6095 0.7460 0.9006
0.6095 0.7540 0.4006
0.1019 0.1124 0.5545
0.1019 0.3876 0.0545
0.1354 0.1063 0.0029
0.1354 0.3937 0.5029
0.3151 0.6321 0.3537
0.3151 0.8679 0.8537
0.3532 0.1876 0.3389
0.3532 0.3124 0.8389
0.3659 0.5996 0.8095
0.3659 0.9004 0.3095
0.6341 0.0996 0.6905
0.6341 0.4004 0.1905
0.6468 0.6876 0.1611
0.6468 0.8124 0.6611
0.6849 0.1321 0.1463
0.6849 0.3679 0.6463
0.8646 0.6063 0.4971
0.8646 0.8937 0.9971
0.8981 0.6124 0.9455
0.8981 0.8876 0.4455
```

Properties
As for the polymorph energy (0 for the lowest one): 0.86 kJ/mol of atoms. The value obtained for the raw total energy is -5.788 eV per atom.

***

No. 2
Crystalline Ca2Mn2O5 at its relaxed geometry. Source: the Materials Project database, functional GGA+U.

Structure (POSCAR):
```
Ca2Mn2O5
1.0
5.6075 0.0000 0.0000
0.0101 7.6480 0.0000
0.3442 0.0707 11.0183
Ca Mn O
8 8 20
direct
0.0000 0.0000 0.0000
0.0122 0.4573 0.9605
0.4714 0.4761 0.7332
0.4873 0.4788 0.1781
0.5007 0.9843 0.2019
0.5185 0.0238 0.7178
0.9318 0.4894 0.4175
0.9434 0.9790 0.4410
0.0200 0.2375 0.7174
0.4358 0.2143 0.4540
0.4713 0.7263 0.4466
0.5009 0.2250 0.9642
0.5087 0.7405 0.9653
0.8979 0.7258 0.6912
0.9772 0.2380 0.2137
0.9876 0.7268 0.2032
0.0570 0.5008 0.7440
0.0653 0.4836 0.2075
0.1406 0.2235 0.3680
0.1556 0.7399 0.3742
0.2359 0.1740 0.8610
0.2793 0.2022 0.1039
0.2857 0.7748 0.1057
0.3082 0.2540 0.6119
0.4300 0.4875 0.9579
0.5371 0.9791 0.4859
0.5853 0.7490 0.7961
0.5866 0.9853 0.9798
0.6597 0.2798 0.3299
0.6811 0.6076 0.5618
0.6887 0.6882 0.2994
0.7197 0.2526 0.8097
0.7745 0.2693 0.0716
0.8260 0.7017 0.0508
0.9164 0.9830 0.2158
0.9450 0.9940 0.6600
```

Properties
As for the polymorph energy (0 for the lowest one): 3.81 kJ/mol of atoms. The value obtained for the raw total energy is -7.015 eV per atom.

***

No. 3
Crystalline Ho2MnGe4O12 at its relaxed geometry. Source: the Materials Project database, functional GGA+U.

Structure (POSCAR):
```
Ho2MnGe4O12
1.0
7.0452 -7.1159 0.0000
7.0452 7.1159 0.0000
0.0000 0.0000 5.0202
Ho Mn Ge O
4 2 8 24
direct
0.0000 0.5000 0.0000
0.2500 0.2500 0.0000
0.5000 0.0000 0.0000
0.7500 0.7500 0.0000
0.0000 0.0000 0.0000
0.5000 0.5000 0.0000
0.0215 0.7531 0.5035
0.2469 0.9785 0.5035
0.2531 0.5215 0.5035
0.4785 0.7469 0.5035
0.5215 0.2531 0.4965
0.7469 0.4785 0.4965
0.7531 0.0215 0.4965
0.9785 0.2469 0.4965
0.0630 0.3298 0.7537
0.0639 0.1686 0.2388
0.1275 0.6275 0.6690
0.1307 0.8693 0.3313
0.1686 0.0639 0.7612
0.1702 0.4370 0.2463
0.3298 0.0630 0.2463
0.3314 0.4361 0.7612
0.3693 0.6307 0.3313
0.3725 0.8725 0.6690
0.4361 0.3314 0.2388
0.4370 0.1702 0.7537
0.5629 0.8298 0.2463
0.5639 0.6686 0.7612
0.6275 0.1275 0.3310
0.6307 0.3693 0.6687
0.6686 0.5639 0.2388
0.6702 0.9370 0.7537
0.8298 0.5629 0.7537
0.8314 0.9361 0.2388
0.8693 0.1307 0.6687
0.8725 0.3725 0.3310
0.9361 0.8314 0.7612
0.9370 0.6702 0.2463
```

Properties
The value obtained for the raw total energy is -7.211 eV per atom.

***

No. 4
Crystalline Li5Mn3O8 at its relaxed geometry. Source: the Materials Project database, functional GGA+U.

Structure (POSCAR):
```
Li5Mn3O8
1.0
5.0912 -5.9197 0.0000
5.0912 5.9197 0.0000
-1.6051 0.0000 4.7364
Li Mn O
10 6 16
direct
0.0000 0.5000 0.5000
0.1223 0.3845 0.9957
0.2485 0.7515 0.0000
0.2526 0.2526 0.4961
0.3845 0.1223 0.9957
0.5000 0.0000 0.5000
0.6155 0.8777 0.0043
0.7474 0.7474 0.5039
0.7515 0.2485 0.0000
0.8777 0.6155 0.0043
0.0000 0.0000 0.0000
0.1276 0.8724 0.5000
0.3732 0.6268 0.5000
0.5000 0.5000 0.0000
0.6268 0.3732 0.5000
0.8724 0.1276 0.5000
0.0055 0.7748 0.7514
0.1078 0.1078 0.7416
0.1203 0.6437 0.2775
0.2252 0.9945 0.2486
0.2737 0.5073 0.7512
0.3563 0.8797 0.7225
0.3809 0.3809 0.2308
0.4927 0.7263 0.2488
0.5073 0.2737 0.7512
0.6191 0.6191 0.7692
0.6437 0.1203 0.2775
0.7263 0.4927 0.2488
0.7748 0.0055 0.7514
0.8797 0.3563 0.7225
0.8922 0.8922 0.2584
0.9945 0.2252 0.2486
```

Properties
As for the polymorph energy (0 for the lowest one): 0.11 kJ/mol of atoms. The value obtained for the raw total energy is -6.281 eV per atom.

***

No. 5
Crystalline MnO2 at its relaxed geometry. Source: the Materials Project database, functional GGA+U.

Structure (POSCAR):
```
MnO2
1.0
1.4647 0.8457 6.2926
-1.4647 0.8457 6.2926
0.0000 -1.6913 6.2926
Mn O
1 2
direct
0.0000 0.0000 0.0000
0.2826 0.2826 0.2826
0.7174 0.7174 0.7174
```

Properties
The value obtained for the raw total energy is -7.131 eV per atom.

***

No. 6
Crystalline Li2Mn3VO8 at its relaxed geometry. Source: the Materials Project database, functional GGA+U.

Structure (POSCAR):
```
Li2Mn3VO8
1.0
8.3598 0.0000 0.0000
0.0000 8.2565 0.0000
-0.0154 0.0000 8.7737
Li Mn V O
8 12 4 32
direct
0.0015 0.0000 0.2452
0.2476 0.7433 0.4961
0.2541 0.2424 0.9969
0.4988 0.4916 0.2521
0.5012 0.9916 0.7479
0.7459 0.7424 0.0031
0.7524 0.2433 0.5039
0.9985 0.5000 0.7548
0.1241 0.3677 0.3731
0.1253 0.1142 0.6278
0.1270 0.8723 0.8812
0.3730 0.1182 0.3775
0.3744 0.8669 0.1326
0.3804 0.6230 0.8794
0.6196 0.1230 0.1206
0.6256 0.3669 0.8674
0.6270 0.6182 0.6225
0.8730 0.3723 0.1188
0.8747 0.6142 0.3722
0.8759 0.8677 0.6269
0.1262 0.6145 0.1252
0.3676 0.3713 0.6260
0.6324 0.8713 0.3740
0.8738 0.1145 0.8748
0.1093 0.6068 0.3566
0.1097 0.8770 0.6390
0.1127 0.1042 0.8747
0.1219 0.3932 0.1204
0.1416 0.1332 0.3821
0.1439 0.6366 0.8950
0.1436 0.8520 0.1252
0.1494 0.3575 0.6326
0.3628 0.1269 0.6037
0.3637 0.3533 0.3951
0.3659 0.6373 0.1291
0.3741 0.8609 0.9096
0.3841 0.1068 0.1496
0.3881 0.8815 0.3582
0.3923 0.3830 0.8553
0.3958 0.6054 0.6244
0.6042 0.1054 0.3756
0.6077 0.8830 0.1447
0.6119 0.3815 0.6418
0.6159 0.6068 0.8504
0.6259 0.3609 0.0904
0.6341 0.1373 0.8709
0.6363 0.8533 0.6049
0.6372 0.6269 0.3963
0.8506 0.8575 0.3674
0.8561 0.1366 0.1050
0.8564 0.3520 0.8748
0.8584 0.6332 0.6179
0.8781 0.8932 0.8796
0.8873 0.6042 0.1253
0.8903 0.3770 0.3610
0.8907 0.1068 0.6434
```

Properties
As for the polymorph energy (0 for the lowest one): 0.51 kJ/mol of atoms. The value obtained for the raw total energy is -7.025 eV per atom.

***

No. 7
Crystalline Li3VFe4O8 at its relaxed geometry. Source: the Materials Project database, functional GGA+U.

Structure (POSCAR):
```
Li3VFe4O8
1.0
5.1575 -3.0032 0.0000
5.1575 3.0032 0.0000
-3.4551 0.0000 4.8892
Li V Fe O
3 1 4 8
direct
0.0000 0.0000 0.0000
0.0000 0.5000 0.5000
0.5000 0.0000 0.5000
0.5000 0.5000 0.5000
0.0000 0.0000 0.5000
0.0000 0.5000 0.0000
0.5000 0.0000 0.0000
0.5000 0.5000 0.0000
0.2496 0.2496 0.7446
0.2503 0.7401 0.7405
0.2599 0.7497 0.2595
0.2630 0.2630 0.2468
0.7370 0.7370 0.7532
0.7401 0.2503 0.7405
0.7497 0.2599 0.2595
0.7504 0.7504 0.2554
```

Properties
The value obtained for the raw total energy is -6.403 eV per atom.

***

No. 8
Crystalline LiCrB2O5 at its relaxed geometry. Source: the Materials Project database, functional GGA+U.

Structure (POSCAR):
```
LiCrB2O5
1.0
12.0310 0.0000 0.0000
0.0000 10.6756 0.0000
-0.9817 0.0000 5.3155
Li Cr B O
8 8 16 40
direct
0.0620 0.1202 0.1186
0.0620 0.3798 0.6186
0.4370 0.6310 0.3802
0.4370 0.8690 0.8802
0.5630 0.1310 0.1198
0.5630 0.3690 0.6198
0.9380 0.6202 0.3814
0.9380 0.8798 0.8814
0.2411 0.6243 0.7547
0.2411 0.8757 0.2547
0.2615 0.1235 0.7695
0.2615 0.3765 0.2695
0.7385 0.6235 0.7305
0.7385 0.8765 0.2305
0.7589 0.1243 0.7453
0.7589 0.3757 0.2453
0.0090 0.6133 0.8425
0.0090 0.8867 0.3425
0.1657 0.6288 0.2058
0.1657 0.8712 0.7058
0.3337 0.1198 0.3059
0.3337 0.3802 0.8059
0.4945 0.1291 0.6455
0.4945 0.3709 0.1455
0.5055 0.6291 0.8545
0.5055 0.8709 0.3545
0.6663 0.6198 0.1941
0.6663 0.8802 0.6941
0.8343 0.1288 0.2942
0.8343 0.3712 0.7942
0.9910 0.1133 0.6575
0.9910 0.3867 0.1575
0.0502 0.6286 0.1066
0.0502 0.8714 0.6066
0.0800 0.5730 0.6875
0.0800 0.9270 0.1875
0.0978 0.1470 0.7567
0.0978 0.3530 0.2567
0.2052 0.7070 0.4061
0.2052 0.7930 0.9061
0.2442 0.5540 0.1126
0.2442 0.9460 0.6126
0.2728 0.2015 0.4300
0.2728 0.2985 0.9300
0.2770 0.0448 0.1163
0.2770 0.4552 0.6163
0.4003 0.6773 0.7861
0.4003 0.8227 0.2861
0.4290 0.1048 0.8214
0.4290 0.3952 0.3214
0.4495 0.1097 0.3835
0.4495 0.3903 0.8835
0.5505 0.6097 0.1165
0.5505 0.8903 0.6165
0.5710 0.6048 0.6786
0.5710 0.8952 0.1786
0.5997 0.1773 0.7139
0.5997 0.3227 0.2139
0.7230 0.5448 0.3837
0.7230 0.9552 0.8837
0.7272 0.7015 0.0700
0.7272 0.7985 0.5700
0.7558 0.0540 0.3874
0.7558 0.4460 0.8874
0.7948 0.2070 0.0939
0.7948 0.2930 0.5939
0.9022 0.6470 0.7433
0.9022 0.8530 0.2433
0.9200 0.0730 0.8125
0.9200 0.4270 0.3125
0.9498 0.1286 0.3934
0.9498 0.3714 0.8934
```

Properties
As for the polymorph energy (0 for the lowest one): 3.35 kJ/mol of atoms. The value obtained for the raw total energy is -7.513 eV per atom.

***

E_form for the records above, in order: -3371.6, -2536.7, -2669.7, -2148.9, -1792.1, -2184.1, -1899.6, -2599.4 meV per atom